Record 1
This record from Materials Project describes a relaxed structure of CsHfMg14. The functional is PBE.

Cell: 6.573 6.713 10.520 Å, 90.00 90.00 120.71°
Fractional positions:
Cs (0.164, 0.332, 0.125)
Hf (0.191, 0.846, 0.125)
Mg (0.169, 0.335, 0.625)
Mg (0.165, 0.832, 0.625)
Mg (0.667, 0.334, 0.125)
Mg (0.668, 0.339, 0.625)
Mg (0.667, 0.832, 0.125)
Mg (0.668, 0.829, 0.625)
Mg (0.334, 0.151, 0.386)
Mg (0.334, 0.151, 0.864)
Mg (0.334, 0.683, 0.386)
Mg (0.334, 0.683, 0.864)
Mg (0.814, 0.157, 0.392)
Mg (0.814, 0.157, 0.858)
Mg (0.838, 0.669, 0.369)
Mg (0.838, 0.669, 0.881)

Excess energy over the best structure of this formula in the dataset = 19 meV/atom
Energy of formation = 0.23 eV per atom
ρ = 2.71 g/cm³
SG = Amm2


Record 2
This record from Materials Project describes a relaxed structure of CsHfMg6O7. The functional is PBE.

Cell: 4.105 4.105 14.063 Å, 90.00 90.00 90.00°
Fractional positions:
Cs (0.000, 0.000, 0.113)
Hf (0.500, 0.500, 0.926)
Mg (0.000, 0.000, 0.564)
Mg (0.500, 0.500, 0.569)
Mg (0.000, 0.500, 0.385)
Mg (0.000, 0.500, 0.747)
Mg (0.500, 0.000, 0.385)
Mg (0.500, 0.000, 0.747)
O (0.000, 0.000, 0.704)
O (0.500, 0.500, 0.060)
O (0.500, 0.500, 0.714)
O (0.000, 0.500, 0.888)
O (0.000, 0.500, 0.530)
O (0.500, 0.000, 0.888)
O (0.500, 0.000, 0.530)

Energy of formation = -2.58 eV per atom
ρ = 3.99 g/cm³
SG = P4mm


Record 3
This record from Materials Project describes a relaxed structure of Cs4Hf3Se14. The functional is PBE.

Cell: 12.457 12.457 15.046 Å, 68.54 68.54 43.08°
Fractional positions:
Cs (0.976, 0.621, 0.610)
Cs (0.379, 0.024, 0.890)
Cs (0.024, 0.379, 0.390)
Cs (0.621, 0.976, 0.110)
Cs (0.810, 0.318, 0.848)
Cs (0.682, 0.190, 0.652)
Cs (0.190, 0.682, 0.152)
Cs (0.318, 0.810, 0.348)
Hf (0.075, 0.589, 0.915)
Hf (0.411, 0.925, 0.585)
Hf (0.925, 0.411, 0.085)
Hf (0.589, 0.075, 0.415)
Hf (0.239, 0.761, 0.750)
Hf (0.761, 0.239, 0.250)
Se (0.129, 0.800, 0.604)
Se (0.200, 0.871, 0.896)
Se (0.871, 0.200, 0.396)
Se (0.800, 0.129, 0.104)
Se (0.331, 0.542, 0.918)
Se (0.458, 0.669, 0.582)
Se (0.669, 0.458, 0.082)
Se (0.542, 0.331, 0.418)
Se (0.941, 0.898, 0.867)
Se (0.102, 0.059, 0.633)
Se (0.059, 0.102, 0.133)
Se (0.898, 0.941, 0.367)
Se (0.251, 0.549, 0.724)
Se (0.451, 0.749, 0.776)
Se (0.749, 0.451, 0.276)
Se (0.549, 0.251, 0.224)
Se (0.005, 0.435, 0.901)
Se (0.565, 0.995, 0.599)
Se (0.995, 0.565, 0.099)
Se (0.435, 0.005, 0.401)
Se (0.163, 0.188, 0.663)
Se (0.812, 0.837, 0.837)
Se (0.837, 0.812, 0.337)
Se (0.188, 0.163, 0.163)
Se (0.682, 0.609, 0.609)
Se (0.391, 0.318, 0.891)
Se (0.318, 0.391, 0.391)
Se (0.609, 0.682, 0.109)

Energy of formation = -1.36 eV per atom
ρ = 4.92 g/cm³
SG = C2/c


Record 4
This record from Materials Project describes a relaxed structure of Cs3Hg20. The functional is PBE.

Cell: 11.654 11.654 11.654 Å, 90.00 90.00 90.00°
Fractional positions:
Cs (0.000, 0.250, 0.500)
Cs (0.000, 0.750, 0.500)
Cs (0.500, 0.000, 0.750)
Cs (0.500, 0.000, 0.250)
Cs (0.750, 0.500, 0.000)
Cs (0.250, 0.500, 0.000)
Hg (0.500, 0.635, 0.755)
Hg (0.365, 0.755, 0.500)
Hg (0.635, 0.245, 0.500)
Hg (0.000, 0.255, 0.135)
Hg (0.135, 0.000, 0.255)
Hg (0.865, 0.000, 0.255)
Hg (0.000, 0.745, 0.865)
Hg (0.865, 0.000, 0.745)
Hg (0.000, 0.745, 0.135)
Hg (0.000, 0.255, 0.865)
Hg (0.135, 0.000, 0.745)
Hg (0.255, 0.865, 0.000)
Hg (0.745, 0.135, 0.000)
Hg (0.745, 0.865, 0.000)
Hg (0.635, 0.755, 0.500)
Hg (0.365, 0.245, 0.500)
Hg (0.500, 0.365, 0.755)
Hg (0.500, 0.365, 0.245)
Hg (0.245, 0.500, 0.635)
Hg (0.245, 0.500, 0.365)
Hg (0.250, 0.250, 0.250)
Hg (0.750, 0.250, 0.750)
Hg (0.750, 0.750, 0.250)
Hg (0.250, 0.750, 0.750)
Hg (0.750, 0.750, 0.750)
Hg (0.250, 0.750, 0.250)
Hg (0.250, 0.250, 0.750)
Hg (0.750, 0.250, 0.250)
Hg (0.250, 0.000, 0.500)
Hg (0.750, 0.000, 0.500)
Hg (0.000, 0.500, 0.250)
Hg (0.000, 0.500, 0.750)
Hg (0.500, 0.750, 0.000)
Hg (0.500, 0.250, 0.000)
Hg (0.500, 0.635, 0.245)
Hg (0.755, 0.500, 0.365)
Hg (0.755, 0.500, 0.635)
Hg (0.255, 0.135, 0.000)
Hg (0.500, 0.500, 0.500)
Hg (0.000, 0.000, 0.000)

Energy of formation = -0.15 eV per atom
ρ = 9.25 g/cm³
SG = Pm-3n


Record 5
This record from Materials Project describes a relaxed structure of Cs3Hg. The functional is PBE.

Cell: 6.784 6.784 6.784 Å, 90.00 90.00 90.00°
Fractional positions:
Cs (0.000, 0.500, 0.500)
Cs (0.500, 0.000, 0.500)
Cs (0.500, 0.500, 0.000)
Hg (0.000, 0.000, 0.000)

Energy of formation = 0.00 eV per atom
ρ = 3.19 g/cm³
SG = Pm-3m


Record 6
This record from Materials Project describes a relaxed structure of Cs2Hg27. The functional is PBE.

Cell: 15.314 15.314 15.314 Å, 109.47 109.47 109.47°
Fractional positions:
Cs (0.304, 0.804, 0.500)
Cs (0.500, 0.304, 0.804)
Cs (0.196, 0.500, 0.696)
Cs (0.804, 0.500, 0.304)
Cs (0.696, 0.196, 0.500)
Cs (0.500, 0.696, 0.196)
Hg (0.588, 0.906, 0.494)
Hg (0.725, 0.734, 0.460)
Hg (0.494, 0.588, 0.906)
Hg (0.266, 0.991, 0.725)
Hg (0.412, 0.906, 0.318)
Hg (0.167, 0.895, 0.062)
Hg (0.105, 0.272, 0.167)
Hg (0.275, 0.266, 0.540)
Hg (0.385, 0.100, 0.285)
Hg (0.275, 0.734, 0.009)
Hg (0.105, 0.938, 0.833)
Hg (0.176, 0.496, 0.967)
Hg (0.680, 0.472, 0.504)
Hg (0.824, 0.791, 0.320)
Hg (0.176, 0.209, 0.680)
Hg (0.033, 0.824, 0.504)
Hg (0.000, 0.650, 0.000)
Hg (0.318, 0.412, 0.906)
Hg (0.285, 0.385, 0.100)
Hg (0.320, 0.528, 0.496)
Hg (0.506, 0.412, 0.094)
Hg (0.991, 0.725, 0.266)
Hg (0.967, 0.176, 0.496)
Hg (0.350, 0.000, 0.000)
Hg (0.906, 0.494, 0.588)
Hg (0.540, 0.275, 0.266)
Hg (0.680, 0.176, 0.209)
Hg (0.650, 0.000, 0.000)
Hg (0.460, 0.725, 0.734)
Hg (0.209, 0.033, 0.528)
Hg (0.734, 0.009, 0.275)
Hg (0.816, 0.100, 0.715)
Hg (0.472, 0.791, 0.967)
Hg (0.650, 0.650, 0.650)
Hg (0.100, 0.285, 0.385)
Hg (0.000, 0.000, 0.350)
Hg (0.938, 0.833, 0.105)
Hg (0.588, 0.094, 0.682)
Hg (0.094, 0.506, 0.412)
Hg (0.320, 0.824, 0.791)
Hg (0.009, 0.275, 0.734)
Hg (0.062, 0.167, 0.895)
Hg (0.791, 0.967, 0.472)
Hg (0.094, 0.682, 0.588)
Hg (0.734, 0.460, 0.725)
Hg (0.895, 0.062, 0.167)
Hg (0.033, 0.528, 0.209)
Hg (0.967, 0.472, 0.791)
Hg (0.833, 0.895, 0.728)
Hg (0.728, 0.833, 0.895)
Hg (0.496, 0.320, 0.528)
Hg (0.350, 0.350, 0.350)
Hg (0.184, 0.900, 0.285)
Hg (0.900, 0.715, 0.615)
Hg (0.100, 0.715, 0.816)
Hg (0.000, 0.000, 0.650)
Hg (0.715, 0.615, 0.900)
Hg (0.833, 0.105, 0.938)
Hg (0.895, 0.728, 0.833)
Hg (0.472, 0.504, 0.680)
Hg (0.504, 0.033, 0.824)
Hg (0.412, 0.094, 0.506)
Hg (0.528, 0.496, 0.320)
Hg (0.725, 0.266, 0.991)
Hg (0.791, 0.320, 0.824)
Hg (0.824, 0.504, 0.033)
Hg (0.000, 0.350, 0.000)
Hg (0.615, 0.900, 0.715)
Hg (0.285, 0.184, 0.900)
Hg (0.682, 0.588, 0.094)
Hg (0.504, 0.680, 0.472)
Hg (0.528, 0.209, 0.033)
Hg (0.496, 0.967, 0.176)
Hg (0.000, 0.000, 0.000)
Hg (0.272, 0.167, 0.105)
Hg (0.906, 0.318, 0.412)
Hg (0.209, 0.680, 0.176)
Hg (0.266, 0.540, 0.275)
Hg (0.900, 0.285, 0.184)
Hg (0.715, 0.816, 0.100)
Hg (0.167, 0.105, 0.272)

Energy of formation = -0.09 eV per atom
ρ = 10.24 g/cm³
SG = Im-3


Record 7
This record from Materials Project describes a relaxed structure of Cs2Hg3I8. The functional is PBE.

Cell: 12.027 12.027 8.105 Å, 84.28 84.28 143.23°
Fractional positions:
Cs (0.638, 0.897, 0.547)
Cs (0.897, 0.638, 0.547)
Hg (0.000, 0.000, 0.999)
Hg (0.926, 0.314, 0.920)
Hg (0.314, 0.926, 0.920)
I (0.661, 0.661, 0.260)
I (0.087, 0.087, 0.643)
I (0.520, 0.909, 0.053)
I (0.909, 0.520, 0.053)
I (0.071, 0.460, 0.561)
I (0.460, 0.071, 0.561)
I (0.314, 0.118, 0.100)
I (0.118, 0.314, 0.100)

Energy of formation = -0.95 eV per atom
ρ = 4.70 g/cm³
SG = Cm
Largest piezoelectric modulus = 0.23 C/m²


Record 8
This record from Materials Project describes a relaxed structure of Cs3HgI5. The functional is PBE.

Cell: 10.400 18.936 19.339 Å, 90.00 90.00 90.00°
Fractional positions:
Cs (0.914, 0.595, 0.102)
Cs (0.928, 0.356, 0.311)
Cs (0.914, 0.095, 0.398)
Cs (0.414, 0.405, 0.398)
Cs (0.586, 0.595, 0.602)
Cs (0.428, 0.644, 0.189)
Cs (0.428, 0.144, 0.311)
Cs (0.083, 0.680, 0.428)
Cs (0.583, 0.820, 0.428)
Cs (0.086, 0.405, 0.898)
Cs (0.583, 0.320, 0.072)
Cs (0.917, 0.820, 0.928)
Cs (0.072, 0.144, 0.811)
Cs (0.083, 0.180, 0.072)
Cs (0.417, 0.680, 0.928)
Cs (0.072, 0.644, 0.689)
Cs (0.572, 0.356, 0.811)
Cs (0.586, 0.095, 0.898)
Cs (0.086, 0.905, 0.602)
Cs (0.928, 0.856, 0.189)
Cs (0.572, 0.856, 0.689)
Cs (0.417, 0.180, 0.572)
Cs (0.414, 0.905, 0.102)
Cs (0.917, 0.320, 0.572)
Hg (0.809, 0.566, 0.844)
Hg (0.809, 0.066, 0.656)
Hg (0.691, 0.066, 0.156)
Hg (0.691, 0.566, 0.344)
Hg (0.191, 0.434, 0.156)
Hg (0.309, 0.434, 0.656)
Hg (0.191, 0.934, 0.344)
Hg (0.309, 0.934, 0.844)
I (0.330, 0.752, 0.571)
I (0.332, 0.997, 0.452)
I (0.364, 0.528, 0.769)
I (0.453, 0.615, 0.403)
I (0.636, 0.972, 0.269)
I (0.332, 0.497, 0.048)
I (0.864, 0.972, 0.769)
I (0.670, 0.748, 0.071)
I (0.453, 0.115, 0.097)
I (0.170, 0.252, 0.429)
I (0.668, 0.503, 0.952)
I (0.864, 0.472, 0.731)
I (0.668, 0.003, 0.548)
I (0.953, 0.885, 0.403)
I (0.136, 0.028, 0.231)
I (0.364, 0.028, 0.731)
I (0.832, 0.003, 0.048)
I (0.047, 0.115, 0.597)
I (0.800, 0.693, 0.288)
I (0.136, 0.528, 0.269)
I (0.830, 0.748, 0.571)
I (0.953, 0.385, 0.097)
I (0.670, 0.248, 0.429)
I (0.800, 0.193, 0.212)
I (0.200, 0.807, 0.788)
I (0.168, 0.997, 0.952)
I (0.047, 0.615, 0.903)
I (0.168, 0.497, 0.548)
I (0.300, 0.807, 0.288)
I (0.300, 0.307, 0.212)
I (0.832, 0.503, 0.452)
I (0.330, 0.252, 0.929)
I (0.636, 0.472, 0.231)
I (0.830, 0.248, 0.929)
I (0.547, 0.885, 0.903)
I (0.170, 0.752, 0.071)
I (0.547, 0.385, 0.597)
I (0.700, 0.693, 0.788)
I (0.200, 0.307, 0.712)
I (0.700, 0.193, 0.712)

Energy of formation = -1.37 eV per atom
ρ = 4.30 g/cm³
SG = Pbca


Record 9
This record from Materials Project describes a relaxed structure of Cs2InHgI6. The functional is PBE.

Cell: 8.654 8.654 8.654 Å, 60.00 60.00 60.00°
Fractional positions:
Cs (0.750, 0.750, 0.750)
Cs (0.250, 0.250, 0.250)
In (0.000, 0.000, 0.000)
Hg (0.500, 0.500, 0.500)
I (0.754, 0.246, 0.246)
I (0.246, 0.246, 0.754)
I (0.246, 0.754, 0.754)
I (0.246, 0.754, 0.246)
I (0.754, 0.246, 0.754)
I (0.754, 0.754, 0.246)

Energy of formation = -1.10 eV per atom
ρ = 4.86 g/cm³
SG = Fm-3m


Record 10
This record from Materials Project describes a relaxed structure of Cs2Hg3I8O. The functional is PBE.

Cell: 11.874 11.874 7.963 Å, 84.25 84.25 142.84°
Fractional positions:
Cs (0.369, 0.124, 0.438)
Cs (0.124, 0.369, 0.438)
Hg (0.079, 0.690, 0.072)
Hg (0.690, 0.079, 0.072)
Hg (0.992, 0.992, 0.000)
I (0.351, 0.351, 0.768)
I (0.878, 0.878, 0.365)
I (0.479, 0.092, 0.938)
I (0.092, 0.479, 0.938)
I (0.934, 0.544, 0.438)
I (0.544, 0.934, 0.438)
I (0.887, 0.691, 0.889)
I (0.691, 0.887, 0.889)
O (0.434, 0.434, 0.241)

Energy of formation = -0.50 eV per atom
ρ = 4.90 g/cm³
SG = Cm


Record 11
This record from Materials Project describes a relaxed structure of Cs2HgSbI6. The functional is PBE.

Cell: 8.756 8.756 8.756 Å, 60.00 60.00 60.00°
Fractional positions:
Cs (0.750, 0.750, 0.750)
Cs (0.250, 0.250, 0.250)
Hg (0.500, 0.500, 0.500)
Sb (0.000, 0.000, 0.000)
I (0.754, 0.246, 0.246)
I (0.246, 0.246, 0.754)
I (0.246, 0.754, 0.754)
I (0.246, 0.754, 0.246)
I (0.754, 0.246, 0.754)
I (0.754, 0.754, 0.246)

Energy of formation = -1.05 eV per atom
ρ = 4.72 g/cm³
SG = Fm-3m


Record 12
This record from Materials Project describes a relaxed structure of CsNdHgSe3. The functional is PBE.

Cell: 4.409 8.476 11.413 Å, 90.00 90.00 105.08°
Fractional positions:
Cs (0.256, 0.513, 0.250)
Cs (0.744, 0.487, 0.750)
Nd (0.000, 0.000, 0.000)
Nd (0.000, 0.000, 0.500)
Hg (0.456, 0.912, 0.750)
Hg (0.544, 0.088, 0.250)
Se (0.621, 0.243, 0.453)
Se (0.939, 0.877, 0.250)
Se (0.061, 0.123, 0.750)
Se (0.379, 0.757, 0.547)
Se (0.621, 0.243, 0.047)
Se (0.379, 0.757, 0.953)

Energy of formation = -1.47 eV per atom
ρ = 5.76 g/cm³
SG = Cmcm